1.
A geometry-optimized K2VCuSe4 structure. Source: the Materials Project database, functional PBE.

Cell lengths 13.731, 12.270, 7.345 Å; angles 84.92, 62.88, 32.20 degrees
Sites, in units of the cell vectors:
V: 0.500 0.500 0.500
Cu: 0.250 0.250 0.250
Se: 0.223 0.889 0.577
Se: 0.577 0.310 0.223
Se: 0.310 0.577 0.889
K: 0.930 0.930 0.570
K: 0.680 0.680 0.320
Se: 0.889 0.223 0.310
Cu: 0.000 0.000 0.000
Se: 0.361 0.027 0.940
V: 0.750 0.750 0.750
Se: 0.027 0.361 0.673
K: 0.570 0.570 0.930
Se: 0.940 0.673 0.361
K: 0.320 0.320 0.680
Se: 0.673 0.940 0.027

Summary:
The space-group type is No. 70.

2.
A geometry-optimized LiCu2F7 structure. Source: the Materials Project database, functional PBE.

Cell lengths 5.286, 6.597, 7.215 Å; angles 95.78, 89.82, 113.40 degrees
Sites, in units of the cell vectors:
F: 0.637 0.003 0.749
F: 0.598 0.582 0.702
F: 0.123 0.836 0.882
F: 0.362 0.001 0.249
F: 0.473 0.699 0.032
F: 0.524 0.298 0.967
F: 0.882 0.157 0.111
F: 0.975 0.585 0.201
F: 0.389 0.414 0.300
Cu: 0.638 0.295 0.715
Cu: 0.344 0.702 0.785
F: 0.720 0.841 0.385
F: 0.776 0.300 0.467
Cu: 0.363 0.700 0.285
Cu: 0.664 0.299 0.214
F: 0.227 0.701 0.533
Li: 0.013 0.001 0.251
F: 0.016 0.416 0.797
Li: 0.995 0.011 0.759
F: 0.282 0.160 0.616

Summary:
The space-group type is No. 1.

3.
A geometry-optimized NdDyTl2 structure. Source: the Materials Project database, functional PBE.

Cell lengths 5.453, 5.453, 5.453 Å; angles 60.00, 60.00, 60.00 degrees
Sites, in units of the cell vectors:
Nd: 0.000 0.000 0.000
Dy: 0.500 0.500 0.500
Tl: 0.250 0.250 0.250
Tl: 0.750 0.750 0.750

Summary:
The space-group type is No. 225.

4.
A geometry-optimized Ca2SnS4 structure. Source: the Materials Project database, functional PBE.

Cell lengths 7.275, 8.291, 12.396 Å; angles 90.00, 90.00, 90.00 degrees
Sites, in units of the cell vectors:
S: 0.750 0.226 0.126
S: 0.994 0.353 0.364
S: 0.994 0.853 0.136
S: 0.750 0.726 0.374
Sn: 0.250 0.204 0.439
S: 0.494 0.147 0.864
S: 0.006 0.647 0.636
S: 0.006 0.147 0.864
S: 0.494 0.647 0.636
S: 0.250 0.274 0.626
Sn: 0.250 0.704 0.061
Ca: 0.750 0.561 0.172
Ca: 0.750 0.404 0.539
S: 0.506 0.853 0.136
S: 0.750 0.578 0.934
Ca: 0.750 0.904 0.961
S: 0.750 0.078 0.566
Ca: 0.250 0.096 0.039
Sn: 0.750 0.296 0.939
S: 0.250 0.774 0.874
S: 0.250 0.922 0.434
Ca: 0.750 0.061 0.328
S: 0.506 0.353 0.364
Ca: 0.250 0.596 0.461
S: 0.250 0.422 0.066
Sn: 0.750 0.796 0.561
Ca: 0.250 0.439 0.828
Ca: 0.250 0.939 0.672

Summary:
The space-group type is No. 62.

The records above give, respectively, DFT total energy values of -0.337; -0.291; -0.286; -0.345 Ry per atom.